The following is a r2SCAN calculation of an optimized crystal structure of GaAg3, from Materials Project.

Structure (extended XYZ):
```
8
Lattice="3.780 3.285 -2.898 -4.461 -2.417 -2.782 -2.602 3.780 0.890" Properties=species:S:1:pos:R:3 pbc="T T T"
Ga -3.666 2.319 -2.154
Ga 0.383 2.329 -2.637
Ag -1.431 3.532 -0.773
Ag -3.728 -0.515 -2.579
Ag -1.852 1.116 -4.018
Ag 0.445 5.162 -2.211
Ag -1.769 3.963 -3.592
Ag -1.514 0.685 -1.198
```

- VASP energy (eV per atom) = -18.86
- formation energy (eV per atom) = 0.02
- mass density (Mg/m³) = 9.64
- total magnetic moment (μB/cell) = 0.000